# 1
! PBE GdCrB4, optimized geometry; values from VASP
&SYSTEM
  ibrav = 0, nat = 24, ntyp = 3
/
ATOMIC_SPECIES
Gd 157.25 Gd.upf
Cr 52.00 Cr.upf
B 10.81 B.upf
CELL_PARAMETERS angstrom
5.950 0.000 0.000
0.000 11.504 0.000
0.000 0.000 3.468
ATOMIC_POSITIONS crystal
Gd 0.125 0.151 0.000
Gd 0.375 0.651 0.000
Gd 0.625 0.349 0.000
Gd 0.875 0.849 0.000
Cr 0.122 0.421 0.000
Cr 0.378 0.921 0.000
Cr 0.622 0.079 0.000
Cr 0.878 0.579 0.000
B 0.024 0.691 0.500
B 0.113 0.546 0.500
B 0.138 0.967 0.500
B 0.220 0.817 0.500
B 0.280 0.317 0.500
B 0.362 0.467 0.500
B 0.387 0.046 0.500
B 0.476 0.191 0.500
B 0.524 0.809 0.500
B 0.613 0.954 0.500
B 0.638 0.533 0.500
B 0.720 0.683 0.500
B 0.780 0.183 0.500
B 0.862 0.033 0.500
B 0.887 0.454 0.500
B 0.976 0.309 0.500
! **Crystal system**: orthorhombic
! **ΔE_f**: -628 meV/atom
! **Uncorrected energy**: -9.04 eV/atom

---

# 2
! PBE DyNi5, optimized geometry; values from VASP
&SYSTEM
  ibrav = 0, nat = 6, ntyp = 2
/
ATOMIC_SPECIES
Dy 162.50 Dy.upf
Ni 58.69 Ni.upf
CELL_PARAMETERS angstrom
4.862 0.000 0.000
-2.431 4.210 0.000
0.000 0.000 3.952
ATOMIC_POSITIONS crystal
Dy 0.000 0.000 0.000
Ni 0.000 0.500 0.500
Ni 0.333 0.667 0.000
Ni 0.500 0.000 0.500
Ni 0.500 0.500 0.500
Ni 0.667 0.333 0.000
! **Crystal system**: hexagonal
! **ΔE_f**: -330 meV/atom
! **Uncorrected energy**: -5.91 eV/atom

---

# 3
! PBE Tm3B3O7, optimized geometry; values from VASP
&SYSTEM
  ibrav = 0, nat = 26, ntyp = 3
/
ATOMIC_SPECIES
Tm 168.93 Tm.upf
B 10.81 B.upf
O 16.00 O.upf
CELL_PARAMETERS angstrom
24.907 0.000 0.000
0.000 1.843 3.486
0.000 -1.843 3.486
ATOMIC_POSITIONS crystal
Tm 0.082 0.000 0.000
Tm 0.246 0.995 0.995
Tm 0.418 0.989 0.989
Tm 0.582 0.989 0.989
Tm 0.754 0.995 0.995
Tm 0.918 0.000 0.000
B 0.000 0.240 0.240
B 0.164 0.757 0.757
B 0.332 0.359 0.359
B 0.500 0.747 0.747
B 0.668 0.359 0.359
B 0.836 0.757 0.757
O 0.048 0.341 0.341
O 0.115 0.660 0.660
O 0.212 0.651 0.651
O 0.279 0.320 0.320
O 0.332 0.973 0.973
O 0.385 0.318 0.318
O 0.452 0.645 0.645
O 0.548 0.645 0.645
O 0.615 0.318 0.318
O 0.668 0.973 0.973
O 0.721 0.320 0.320
O 0.788 0.651 0.651
O 0.885 0.660 0.660
O 0.952 0.341 0.341
! **Crystal system**: orthorhombic
! **ΔE_f**: -2900 meV/atom
! **Uncorrected energy**: -7.77 eV/atom

---

# 4
! PBE Pr3MnBi5, optimized geometry; values from VASP
&SYSTEM
  ibrav = 0, nat = 18, ntyp = 3
/
ATOMIC_SPECIES
Pr 140.91 Pr.upf
Mn 54.94 Mn.upf
Bi 208.98 Bi.upf
CELL_PARAMETERS angstrom
9.729 0.000 0.000
-4.865 8.426 0.000
0.000 0.000 6.530
ATOMIC_POSITIONS crystal
Pr 0.000 0.379 0.250
Pr 0.000 0.621 0.750
Pr 0.379 0.000 0.250
Pr 0.379 0.379 0.750
Pr 0.621 0.000 0.750
Pr 0.621 0.621 0.250
Mn 0.000 0.000 0.000
Mn 0.000 0.000 0.500
Bi 0.000 0.254 0.750
Bi 0.000 0.746 0.250
Bi 0.254 0.000 0.750
Bi 0.254 0.254 0.250
Bi 0.333 0.667 0.000
Bi 0.333 0.667 0.500
Bi 0.667 0.333 0.000
Bi 0.667 0.333 0.500
Bi 0.746 0.000 0.250
Bi 0.746 0.746 0.750
! **Crystal system**: hexagonal
! **ΔE_f**: -542 meV/atom
! **Uncorrected energy**: -5.31 eV/atom

---

# 5
! PBE Ta3AlC2, optimized geometry; values from VASP
&SYSTEM
  ibrav = 0, nat = 12, ntyp = 3
/
ATOMIC_SPECIES
Ta 180.95 Ta.upf
Al 26.98 Al.upf
C 12.01 C.upf
CELL_PARAMETERS angstrom
3.106 0.000 0.000
-1.553 2.690 0.000
0.000 0.000 19.268
ATOMIC_POSITIONS crystal
Ta 0.000 0.000 0.000
Ta 0.000 0.000 0.500
Ta 0.333 0.667 0.134
Ta 0.333 0.667 0.366
Ta 0.667 0.333 0.634
Ta 0.667 0.333 0.866
Al 0.000 0.000 0.250
Al 0.000 0.000 0.750
C 0.333 0.667 0.568
C 0.333 0.667 0.932
C 0.667 0.333 0.068
C 0.667 0.333 0.432
! **Crystal system**: hexagonal
! **ΔE_f**: -568 meV/atom
! **Uncorrected energy**: -10.20 eV/atom

---

# 6
! PBE Na5TiZn3P3S3O24, optimized geometry; values from VASP
&SYSTEM
  ibrav = 0, nat = 117, ntyp = 6
/
ATOMIC_SPECIES
Na 22.99 Na.upf
Ti 47.87 Ti.upf
Zn 65.41 Zn.upf
P 30.97 P.upf
S 32.06 S.upf
O 16.00 O.upf
CELL_PARAMETERS angstrom
8.880 0.000 0.000
4.435 7.695 0.000
0.114 0.055 22.130
ATOMIC_POSITIONS crystal
Na 0.000 0.000 0.000
Na 0.001 0.736 0.498
Na 0.018 0.360 0.238
Na 0.032 0.354 0.746
Na 0.044 0.025 0.324
Na 0.335 0.700 0.909
Na 0.343 0.700 0.410
Na 0.380 0.367 0.995
Na 0.639 0.365 0.496
Na 0.643 0.731 0.996
Na 0.659 0.679 0.327
Na 0.661 0.037 0.584
Na 0.664 0.398 0.831
Na 0.681 0.032 0.080
Na 0.705 0.701 0.667
Ti 0.002 0.372 0.390
Ti 0.002 0.386 0.893
Ti 0.677 0.035 0.228
Zn 0.009 0.365 0.598
Zn 0.331 0.697 0.068
Zn 0.332 0.700 0.261
Zn 0.335 0.700 0.766
Zn 0.346 0.705 0.568
Zn 0.663 0.035 0.737
Zn 0.667 0.027 0.425
Zn 0.672 0.033 0.924
Zn 0.997 0.364 0.098
P 0.004 0.659 0.999
P 0.043 0.998 0.165
P 0.374 0.329 0.831
P 0.379 0.036 0.331
P 0.669 0.326 0.333
P 0.670 0.739 0.830
P 0.713 0.660 0.498
P 0.714 0.365 0.996
P 0.967 0.740 0.332
S 0.009 0.074 0.496
S 0.044 0.701 0.662
S 0.296 0.077 0.997
S 0.297 0.363 0.497
S 0.337 0.997 0.664
S 0.343 0.398 0.164
S 0.635 0.704 0.165
S 0.637 0.398 0.663
S 0.971 0.034 0.831
O 0.016 0.182 0.160
O 0.022 0.544 0.660
O 0.028 0.160 0.440
O 0.028 0.540 0.942
O 0.114 0.889 0.107
O 0.123 0.719 0.604
O 0.146 0.882 0.824
O 0.147 0.914 0.222
O 0.148 0.716 0.323
O 0.152 0.681 0.715
O 0.163 0.897 0.499
O 0.173 0.671 0.999
O 0.181 0.172 0.658
O 0.184 0.384 0.443
O 0.185 0.163 0.943
O 0.190 0.346 0.841
O 0.190 0.376 0.159
O 0.193 0.203 0.338
O 0.219 0.340 0.552
O 0.220 0.182 0.052
O 0.306 0.527 0.498
O 0.312 0.901 0.000
O 0.315 0.912 0.718
O 0.321 0.506 0.218
O 0.351 0.880 0.323
O 0.353 0.512 0.825
O 0.368 0.890 0.608
O 0.376 0.468 0.108
O 0.452 0.217 0.776
O 0.470 0.065 0.275
O 0.473 0.054 0.991
O 0.475 0.214 0.491
O 0.484 0.255 0.889
O 0.489 0.998 0.387
O 0.499 0.009 0.668
O 0.505 0.221 0.172
O 0.518 0.702 0.825
O 0.522 0.511 0.324
O 0.532 0.730 0.110
O 0.535 0.535 0.000
O 0.536 0.477 0.606
O 0.537 0.663 0.498
O 0.553 0.510 0.716
O 0.554 0.681 0.220
O 0.648 0.250 0.392
O 0.648 0.841 0.888
O 0.649 0.867 0.171
O 0.658 0.223 0.669
O 0.690 0.204 0.990
O 0.700 0.838 0.491
O 0.705 0.200 0.279
O 0.708 0.809 0.772
O 0.807 0.389 0.939
O 0.811 0.388 0.659
O 0.812 0.552 0.161
O 0.815 0.537 0.441
O 0.825 0.575 0.554
O 0.830 0.329 0.051
O 0.839 0.548 0.838
O 0.839 0.831 0.279
O 0.843 0.841 0.991
O 0.845 0.336 0.337
O 0.849 0.058 0.492
O 0.855 0.014 0.175
O 0.856 0.069 0.779
O 0.867 0.857 0.666
O 0.895 0.845 0.390
O 0.897 0.009 0.888
O 0.975 0.558 0.338
O 0.976 0.573 0.054
O 0.984 0.182 0.550
O 0.984 0.197 0.837
! **Crystal system**: triclinic
! **ΔE_f**: -2337 meV/atom
! **Uncorrected energy**: -6.16 eV/atom

---

Q: Look up the ΔE_f of the sixth one.
A: -2337 meV/atom

---

Q: Among the records above, which one has the lowest uncorrected energy?
A: Ta3AlC2

---

Q: Which of these has the lowest uncorrected energy?
A: Ta3AlC2

---

Q: Which value of uncorrected energy does entry 6 give?
A: -6.16 eV/atom